Compound: ZnIn2S4
Source: the Materials Project database
Functional: PBE
Structure: relaxed

Cell and atoms, written as POSCAR:
```
ZnIn2S4
1.0
0.000 5.376 5.376
5.376 0.000 5.376
5.376 5.376 0.000
Zn In S
2 4 8
direct
0.125 0.125 0.125
0.875 0.875 0.875
0.000 0.500 0.500
0.500 0.000 0.500
0.500 0.500 0.000
0.500 0.500 0.500
0.254 0.254 0.254
0.254 0.254 0.737
0.254 0.737 0.254
0.263 0.746 0.746
0.737 0.254 0.254
0.746 0.263 0.746
0.746 0.746 0.263
0.746 0.746 0.746
```

Values from the calculation:
- E (MP2020): -29.57 eV/f.u.
- Total magnetic moment: 0.000 μB/atom
- Space-group type: Fd-3m (227)
- Formation enthalpy at 0 K: -0.894 eV per atom

Compound: Zn2In2S5
Source: the Materials Project database
Functional: PBE
Structure: relaxed

Cell and atoms, written as POSCAR:
```
Zn2In2S5
1.0
1.961 1.132 15.632
-1.961 1.132 15.632
0.000 -2.264 15.632
Zn In S
2 2 5
direct
0.000 0.000 0.000
0.171 0.171 0.171
0.584 0.584 0.584
0.766 0.766 0.766
0.077 0.077 0.077
0.219 0.219 0.219
0.680 0.680 0.680
0.819 0.819 0.819
0.945 0.945 0.945
```

Values from the calculation:
- ΔE to the lowest computed polymorph: 2 meV/atom
- E (MP2020): -36.53 eV/f.u.
- Total magnetic moment: 0.000 μB/atom
- Space-group type: R3m (160)
- Formation enthalpy at 0 K: -0.870 eV per atom

Compound: ZnIn2S4
Source: the Materials Project database
Functional: PBE
Structure: relaxed

Cell and atoms, written as POSCAR:
```
ZnIn2S4
1.0
1.963 1.133 12.630
-1.963 1.133 12.630
0.000 -2.267 12.630
Zn In S
1 2 4
direct
0.000 0.000 0.000
0.543 0.543 0.543
0.771 0.771 0.771
0.071 0.071 0.071
0.478 0.478 0.478
0.653 0.653 0.653
0.905 0.905 0.905
```

Values from the calculation:
- E (MP2020): -29.25 eV/f.u.
- Total magnetic moment: 0.000 μB/atom
- Space-group type: R3m (160)
- Piezoelectric modulus e_max: 1.224 C/m2
- Formation enthalpy at 0 K: -0.848 eV per atom

Compound: ZnIn2S4
Source: the Materials Project database
Functional: PBE
Structure: relaxed

Cell and atoms, written as POSCAR:
```
ZnIn2S4
1.0
1.966 1.135 25.211
-1.966 1.135 25.211
0.000 -2.270 25.211
Zn In S
2 4 8
direct
0.000 0.000 0.000
0.168 0.168 0.168
0.439 0.439 0.439
0.605 0.605 0.605
0.719 0.719 0.719
0.886 0.886 0.886
0.036 0.036 0.036
0.120 0.120 0.120
0.202 0.202 0.202
0.406 0.406 0.406
0.494 0.494 0.494
0.573 0.573 0.573
0.660 0.660 0.660
0.953 0.953 0.953
```

Values from the calculation:
- E (MP2020): -29.18 eV/f.u.
- Total magnetic moment: 0.000 μB/atom
- Space-group type: R3m (160)
- Formation enthalpy at 0 K: -0.838 eV per atom

Compound: ZnIn2S4
Source: the Materials Project database
Functional: PBE
Structure: relaxed

Cell and atoms, written as POSCAR:
```
ZnIn2S4
1.0
3.925 0.000 0.000
-1.962 3.399 0.000
0.000 0.000 25.310
Zn In S
2 4 8
direct
0.000 0.000 0.000
0.000 0.000 0.500
0.333 0.667 0.185
0.333 0.667 0.844
0.667 0.333 0.344
0.667 0.333 0.685
0.000 0.000 0.143
0.000 0.000 0.393
0.000 0.000 0.643
0.000 0.000 0.893
0.333 0.667 0.020
0.333 0.667 0.282
0.667 0.333 0.520
0.667 0.333 0.782
```

Values from the calculation:
- E (MP2020): -29.25 eV/f.u.
- Total magnetic moment: 0.000 μB/atom
- Space-group type: P6_3mc (186)
- Formation enthalpy at 0 K: -0.849 eV per atom

Compound: ZnIn2S4
Source: the Materials Project database
Functional: PBE
Structure: relaxed

Cell and atoms, written as POSCAR:
```
ZnIn2S4
1.0
3.924 0.000 0.000
-1.962 3.398 0.000
0.000 0.000 12.664
Zn In S
1 2 4
direct
0.000 0.000 0.000
0.333 0.667 0.373
0.667 0.333 0.689
0.000 0.000 0.287
0.000 0.000 0.789
0.333 0.667 0.040
0.333 0.667 0.567
```

Values from the calculation:
- E (MP2020): -29.26 eV/f.u.
- Total magnetic moment: 0.000 μB/atom
- Space-group type: P3m1 (156)
- Piezoelectric modulus e_max: 1.195 C/m2
- Formation enthalpy at 0 K: -0.850 eV per atom

Compound: ZnIn2S4
Source: the Materials Project database
Functional: PBE
Structure: relaxed

Cell and atoms, written as POSCAR:
```
ZnIn2S4
1.0
3.929 0.000 0.000
-1.965 3.403 0.000
0.000 0.000 28.207
Zn In S
2 4 8
direct
0.333 0.667 0.036
0.667 0.333 0.964
0.000 0.000 0.232
0.000 0.000 0.768
0.333 0.667 0.625
0.667 0.333 0.375
0.333 0.667 0.190
0.333 0.667 0.416
0.333 0.667 0.710
0.333 0.667 0.945
0.667 0.333 0.055
0.667 0.333 0.290
0.667 0.333 0.584
0.667 0.333 0.810
```

Values from the calculation:
- E (MP2020): -29.29 eV/f.u.
- Total magnetic moment: 0.000 μB/atom
- Space-group type: P-3m1 (164)
- Formation enthalpy at 0 K: -0.854 eV per atom

Compound: ZnIn2S4
Source: the Materials Project database
Functional: PBE
Structure: relaxed

Cell and atoms, written as POSCAR:
```
ZnIn2S4
1.0
6.742 0.000 0.000
0.000 3.965 0.000
-2.093 0.000 12.615
Zn In S
2 4 8
direct
0.237 0.000 0.198
0.763 0.000 0.802
0.000 0.000 0.500
0.277 0.500 0.814
0.500 0.500 0.500
0.723 0.500 0.186
0.109 0.000 0.876
0.201 0.500 0.610
0.297 0.000 0.390
0.358 0.500 0.130
0.642 0.500 0.870
0.703 0.000 0.610
0.799 0.500 0.390
0.891 0.000 0.124
```

Values from the calculation:
- E (MP2020): -29.67 eV/f.u.
- Space-group type: P2/m (10)
- Formation enthalpy at 0 K: -0.908 eV per atom